Record 1
# RbAs7H24C8N3 (PBE, relaxed)
data_RbAs7H24C8N3
_cell_length_a 13.488
_cell_length_b 9.501
_cell_length_c 19.515
_cell_angle_alpha 90.00
_cell_angle_beta 100.86
_cell_angle_gamma 90.00
_symmetry_space_group_name_H-M 'P 1 21/c 1'
_symmetry_Int_Tables_number 14
loop_
_symmetry_equiv_pos_as_xyz
'x,y,z'
'-x,-y,-z'
'-x,y+1/2,-z+1/2'
'x,-y+1/2,z+1/2'
loop_
_atom_site_label
_atom_site_fract_x
_atom_site_fract_y
_atom_site_fract_z
Rb1 0.068 0.230 0.495
As1 0.142 0.686 0.149
As2 0.160 0.578 0.607
As3 0.173 0.641 0.960
As4 0.183 0.611 0.480
As5 0.244 0.559 0.078
As6 0.336 0.573 0.577
As7 0.401 0.696 0.107
H1 0.024 0.739 0.786
H2 0.044 0.112 0.305
H3 0.048 0.117 0.824
H4 0.054 0.122 0.674
H5 0.060 0.190 0.161
H6 0.134 0.019 0.780
H7 0.141 0.039 0.262
H8 0.175 0.120 0.347
H9 0.183 0.125 0.856
H10 0.236 0.129 0.710
H11 0.240 0.182 0.204
H12 0.292 0.232 0.786
H13 0.292 0.625 0.830
H14 0.333 0.636 0.272
H15 0.336 0.610 0.365
H16 0.345 0.632 0.751
H17 0.391 0.681 0.938
H18 0.398 0.513 0.822
H19 0.422 0.143 0.664
H20 0.437 0.174 0.187
H21 0.439 0.549 0.326
H22 0.484 0.124 0.570
H23 0.492 0.693 0.443
H24 0.496 0.195 0.748
C1 0.049 0.226 0.697
C2 0.123 0.116 0.809
C3 0.123 0.123 0.297
C4 0.233 0.228 0.739
C5 0.362 0.615 0.808
C6 0.381 0.630 0.324
C7 0.460 0.709 0.919
C8 0.473 0.223 0.692
N1 0.132 0.238 0.761
N2 0.331 0.231 0.431
N3 0.433 0.729 0.840
# Energy relative to the elements   -0.0003 eV/atom

Record 2
# Sn2As2H24C8S2O3 (PBE, relaxed)
data_Sn2As2H24C8S2O3
_cell_length_a 7.515
_cell_length_b 12.407
_cell_length_c 13.412
_cell_angle_alpha 70.52
_cell_angle_beta 74.52
_cell_angle_gamma 84.79
_symmetry_space_group_name_H-M 'P -1'
_symmetry_Int_Tables_number 2
loop_
_symmetry_equiv_pos_as_xyz
'x,y,z'
'-x,-y,-z'
loop_
_atom_site_label
_atom_site_fract_x
_atom_site_fract_y
_atom_site_fract_z
Sn1 0.049 0.364 0.078
Sn2 0.220 0.482 0.756
As1 0.033 0.814 0.646
As2 0.441 0.232 0.762
H1 0.041 0.367 0.673
H2 0.043 0.136 0.533
H3 0.064 0.726 0.497
H4 0.077 0.754 0.025
H5 0.086 0.504 0.319
H6 0.093 0.839 0.885
H7 0.119 0.502 0.573
H8 0.177 0.258 0.436
H9 0.193 0.114 0.751
H10 0.260 0.050 0.878
H11 0.264 0.731 0.918
H12 0.266 0.963 0.525
H13 0.271 0.873 0.201
H14 0.295 0.743 0.166
H15 0.337 0.884 0.647
H16 0.367 0.824 0.537
H17 0.371 0.269 0.108
H18 0.371 0.414 0.107
H19 0.409 0.038 0.752
H20 0.412 0.384 0.980
H21 0.426 0.490 0.251
H22 0.429 0.867 0.075
H23 0.453 0.645 0.736
H24 0.472 0.406 0.380
C1 0.040 0.219 0.470
C2 0.050 0.459 0.659
C3 0.119 0.755 0.940
C4 0.281 0.878 0.582
C5 0.309 0.092 0.789
C6 0.339 0.358 0.066
C7 0.366 0.818 0.160
C8 0.477 0.569 0.709
S1 0.154 0.076 0.287
S2 0.459 0.676 0.405
O1 0.057 0.679 0.743
O2 0.077 0.485 0.907
O3 0.286 0.311 0.834
# Energy relative to the elements   -0.3432 eV/atom

no.,raw total energy (eV/atom)
1,-4.949
2,-5.042